The following is a DFT calculation (PBE with a Hubbard U) of a geometry-optimized La2W3O12 structure.

Cell lengths 7.212, 7.212, 11.810 Å; angles 79.31, 79.31, 112.15 degrees
Sites, in units of the cell vectors:
La 0.055 0.309 0.404
La 0.691 0.945 0.096
La 0.945 0.691 0.596
La 0.309 0.055 0.904
W 0.200 0.495 0.045
W 0.505 0.800 0.455
W 0.800 0.505 0.955
W 0.495 0.200 0.545
W 0.118 0.882 0.250
W 0.882 0.118 0.750
O 0.671 0.097 0.427
O 0.903 0.329 0.073
O 0.329 0.903 0.573
O 0.097 0.671 0.927
O 0.228 0.626 0.464
O 0.374 0.772 0.036
O 0.772 0.374 0.536
O 0.626 0.228 0.964
O 0.203 0.360 0.191
O 0.640 0.797 0.309
O 0.797 0.640 0.809
O 0.360 0.203 0.691
O 0.016 0.604 0.281
O 0.396 0.984 0.219
O 0.984 0.396 0.719
O 0.604 0.016 0.781
O 0.398 0.321 0.440
O 0.679 0.602 0.060
O 0.602 0.679 0.560
O 0.321 0.398 0.940
O 0.028 0.948 0.387
O 0.052 0.972 0.113
O 0.972 0.052 0.613
O 0.948 0.028 0.887

Results
The formation energy is -2761 meV/atom. The crystal system is monoclinic. The space group is C2/c.

The following is a DFT calculation (PBE with a Hubbard U) of a geometry-optimized La2W2O9 structure.

Cell lengths 7.169, 7.440, 7.452 Å; angles 70.86, 84.79, 83.48 degrees
Sites, in units of the cell vectors:
La 0.842 0.744 0.849
La 0.158 0.256 0.151
La 0.376 0.727 0.590
La 0.624 0.273 0.410
W 0.156 0.201 0.644
W 0.844 0.799 0.356
W 0.724 0.271 0.941
W 0.276 0.729 0.059
O 0.343 0.352 0.640
O 0.657 0.648 0.360
O 0.016 0.271 0.846
O 0.984 0.729 0.154
O 0.490 0.766 0.906
O 0.510 0.234 0.094
O 0.660 0.486 0.749
O 0.340 0.514 0.251
O 0.272 0.915 0.173
O 0.728 0.085 0.827
O 0.818 0.414 0.089
O 0.182 0.586 0.911
O 0.977 0.287 0.469
O 0.023 0.713 0.531
O 0.853 0.056 0.204
O 0.147 0.944 0.796
O 0.317 0.097 0.469
O 0.683 0.903 0.531

Results
The formation energy is -2945 meV/atom. The crystal system is triclinic. The space group is P-1.

The following is a DFT calculation (PBE with a Hubbard U) of a geometry-optimized Li2MgMn3O8 structure.

Cell lengths 5.953, 5.953, 5.953 Å; angles 58.73, 58.73, 58.73 degrees
Sites, in units of the cell vectors:
Li 0.116 0.116 0.116
Li 0.884 0.884 0.884
Mg 0.500 0.500 0.500
Mn 0.500 0.500 0.000
Mn 0.500 0.000 0.500
Mn 0.000 0.500 0.500
O 0.263 0.263 0.263
O 0.709 0.254 0.254
O 0.254 0.709 0.254
O 0.254 0.254 0.709
O 0.746 0.746 0.291
O 0.746 0.291 0.746
O 0.291 0.746 0.746
O 0.737 0.737 0.737

Results
The formation energy is -2199 meV/atom. The crystal system is trigonal. For the total magnetization, the calculation gives 9.00 μB/f.u. The value obtained for the energy above the lowest structure with this stoichiometry is 0.019 eV per atom. The space group is R-3m.

The following is a DFT calculation (PBE with a Hubbard U) of a geometry-optimized Li2MgMn3O8 structure.

Cell lengths 8.330, 8.330, 8.330 Å; angles 90.00, 90.00, 90.00 degrees
Sites, in units of the cell vectors:
Li 0.497 0.997 0.503
Li 0.247 0.247 0.247
Li 0.253 0.753 0.747
Li 0.747 0.253 0.753
Li 0.997 0.503 0.497
Li 0.753 0.747 0.253
Li 0.503 0.497 0.997
Li 0.003 0.003 0.003
Mg 0.375 0.125 0.875
Mg 0.125 0.875 0.375
Mg 0.875 0.375 0.125
Mg 0.625 0.625 0.625
Mn 0.125 0.380 0.870
Mn 0.375 0.620 0.370
Mn 0.630 0.875 0.880
Mn 0.620 0.370 0.375
Mn 0.380 0.870 0.125
Mn 0.880 0.630 0.875
Mn 0.875 0.880 0.630
Mn 0.625 0.120 0.130
Mn 0.120 0.130 0.625
Mn 0.130 0.625 0.120
Mn 0.370 0.375 0.620
Mn 0.870 0.125 0.380
O 0.125 0.393 0.099
O 0.607 0.599 0.375
O 0.393 0.099 0.125
O 0.625 0.107 0.901
O 0.099 0.125 0.393
O 0.366 0.634 0.134
O 0.151 0.857 0.125
O 0.875 0.893 0.401
O 0.401 0.875 0.893
O 0.599 0.375 0.607
O 0.384 0.384 0.384
O 0.375 0.849 0.357
O 0.901 0.625 0.107
O 0.857 0.125 0.151
O 0.893 0.401 0.875
O 0.143 0.625 0.349
O 0.651 0.643 0.875
O 0.616 0.884 0.116
O 0.357 0.375 0.849
O 0.875 0.651 0.643
O 0.625 0.349 0.143
O 0.634 0.134 0.366
O 0.849 0.357 0.375
O 0.884 0.116 0.616
O 0.116 0.616 0.884
O 0.375 0.607 0.599
O 0.107 0.901 0.625
O 0.349 0.143 0.625
O 0.134 0.366 0.634
O 0.643 0.875 0.651
O 0.866 0.866 0.866
O 0.125 0.151 0.857

Results
The formation energy is -2218 meV/atom. The crystal system is cubic. For the total magnetization, the calculation gives 9.00 μB/f.u. The value obtained for the energy above the lowest structure with this stoichiometry is 0.000 eV per atom. The space group is P4_332.

MP2020-corrected energy
In order: -310.1 -237.2 -103.3 -414.2
Unit: eV/cell